Computed, not measured: crystalline Na2Mo2O5 at its relaxed geometry at the PBE+U level of DFT. Values from VASP.

```
&SYSTEM
  ibrav = 0, nat = 18, ntyp = 3
/
ATOMIC_SPECIES
Na 22.99 Na.upf
Mo 95.94 Mo.upf
O 16.00 O.upf
CELL_PARAMETERS angstrom
-7.415 2.896 2.834
7.415 -2.896 2.834
7.415 2.896 -2.834
ATOMIC_POSITIONS crystal
Na 0.030 0.104 0.134
Na 0.030 0.396 0.426
Na 0.970 0.604 0.574
Na 0.970 0.896 0.866
Mo 0.477 0.477 0.000
Mo 0.477 0.977 0.500
Mo 0.503 0.814 0.189
Mo 0.625 0.314 0.811
O 0.033 0.659 0.874
O 0.375 0.097 0.560
O 0.375 0.315 0.777
O 0.481 0.209 0.232
O 0.481 0.749 0.773
O 0.538 0.597 0.223
O 0.538 0.815 0.440
O 0.784 0.159 0.126
O 0.977 0.249 0.768
O 0.977 0.709 0.227
```

Calculated values
Total moment, μB per formula unit: 4.00
E_form, meV/atom: -1885
Space group: Ima2 (46)
Distance to the lowest polymorph of the same formula, meV/atom: 0.0